No. 1
Sc2OsRh | r²SCAN | relaxed

Results
DFT total energy ... -0.94544 Ha/atom
Calculated formation energy ... -2.99 eV/f.u.

CIF file:
```
data_Sc2OsRh
_chemical_formula_sum 'Sc8 Os4 Rh4'
_cell_length_a 6.422
_cell_length_b 6.422
_cell_length_c 6.422
_cell_angle_alpha 90.00
_cell_angle_beta 90.00
_cell_angle_gamma 90.00
_symmetry_space_group_name_H-M 'F m -3 m'
_symmetry_Int_Tables_number 225
_symmetry_space_group_name_Hall '-F 4 2 3'
loop_
_atom_site_label
_atom_site_type_symbol
_atom_site_fract_x
_atom_site_fract_y
_atom_site_fract_z
Sc1 Sc 0.250 0.250 0.250
Os1 Os 0.000 0.000 0.000
Rh1 Rh 0.000 0.000 0.500
```



No. 2
Ti2OsRh | r²SCAN | relaxed

Results
DFT total energy ... -0.97510 Ha/atom
Calculated formation energy ... -3.14 eV/f.u.

CIF file:
```
data_Ti2OsRh
_chemical_formula_sum 'Ti8 Os4 Rh4'
_cell_length_a 6.175
_cell_length_b 6.175
_cell_length_c 6.175
_cell_angle_alpha 90.00
_cell_angle_beta 90.00
_cell_angle_gamma 90.00
_symmetry_space_group_name_H-M 'F m -3 m'
_symmetry_Int_Tables_number 225
_symmetry_space_group_name_Hall '-F 4 2 3'
loop_
_atom_site_label
_atom_site_type_symbol
_atom_site_fract_x
_atom_site_fract_y
_atom_site_fract_z
Ti1 Ti 0.250 0.250 0.250
Os1 Os 0.000 0.000 0.000
Rh1 Rh 0.000 0.000 0.500
```



No. 3
OsRu3 | r²SCAN | relaxed

Results
DFT total energy ... -1.18789 Ha/atom
Calculated formation energy ... -0.04 eV/f.u.

CIF file:
```
data_OsRu3
_chemical_formula_sum 'Os2 Ru6'
_cell_length_a 5.4304
_cell_length_b 5.4304
_cell_length_c 4.2910
_cell_angle_alpha 90.00
_cell_angle_beta 90.00
_cell_angle_gamma 120.00
_symmetry_space_group_name_H-M 'P 63/m m c'
_symmetry_Int_Tables_number 194
_symmetry_space_group_name_Hall '-P 6c 2c'
loop_
_atom_site_label
_atom_site_type_symbol
_atom_site_fract_x
_atom_site_fract_y
_atom_site_fract_z
Os1 Os 0.3333 0.6667 0.2500
Ru1 Ru 0.1674 0.3349 0.7500
```



No. 4
Si2OsRu | r²SCAN | relaxed

Results
DFT total energy ... -0.90022 Ha/atom
Calculated formation energy ... -2.03 eV/f.u.

CIF file:
```
data_Si2OsRu
_chemical_formula_sum 'Si8 Os4 Ru4'
_cell_length_a 5.859
_cell_length_b 5.859
_cell_length_c 5.859
_cell_angle_alpha 90.00
_cell_angle_beta 90.00
_cell_angle_gamma 90.00
_symmetry_space_group_name_H-M 'F m -3 m'
_symmetry_Int_Tables_number 225
_symmetry_space_group_name_Hall '-F 4 2 3'
loop_
_atom_site_label
_atom_site_type_symbol
_atom_site_fract_x
_atom_site_fract_y
_atom_site_fract_z
Si1 Si 0.250 0.250 0.250
Os1 Os 0.000 0.000 0.000
Ru1 Ru 0.000 0.000 0.500
```